An optimized crystal structure of CeSi2Ni2. Source: the Materials Project, functional r2SCAN.

Total moment in μB per formula unit: 0.53
Total DFT energy (no corrections) in eV/atom: -15.277

POSCAR file:
```
CeSi2Ni2
1.0
3.759 0.000 -1.460
-0.567 3.716 -1.460
-0.020 -0.023 5.519
Ni Si Ce
2 2 1
Direct
0.750 0.250 0.500 Ni
0.250 0.750 0.500 Ni
0.370 0.370 0.741 Si
0.630 0.630 0.259 Si
0.000 0.000 0.000 Ce
```

***

An optimized crystal structure of CeNi2Sn2. Source: the Materials Project, functional r2SCAN.

Total moment in μB per formula unit: 1.00
Total DFT energy (no corrections) in eV/atom: -21.393

POSCAR file:
```
CeNi2Sn2
1.0
-3.264 -2.683 -1.358
1.561 -3.225 2.619
-5.848 3.297 7.545
Sn Ni Ce
4 4 2
Direct
0.500 0.000 0.124 Sn
0.000 0.000 0.500 Sn
0.000 0.500 0.876 Sn
0.500 0.500 0.500 Sn
0.000 0.500 0.628 Ni
0.500 0.500 0.000 Ni
0.000 0.000 0.000 Ni
0.500 0.000 0.372 Ni
0.500 0.000 0.760 Ce
0.000 0.500 0.240 Ce
```